# 1
## K3Ba3Li2Al4B6O20F (PBE-GGA)

Data for a geometry-optimized K3Ba3Li2Al4B6O20F structure.

```
data_K3Ba3Li2Al4B6O20F
_cell_length_a 8.868
_cell_length_b 8.868
_cell_length_c 16.690
_cell_angle_alpha 90.00
_cell_angle_beta 90.00
_cell_angle_gamma 120.00
_space_group_name_H-M_alt 'P 1'
_space_group_IT_number 1
loop_
_space_group_symop_operation_xyz
'x,y,z'
loop_
_atom_site_label
_atom_site_fract_x
_atom_site_fract_y
_atom_site_fract_z
O1 0.883 0.468 0.860
O2 0.234 0.173 0.854
O3 0.586 0.117 0.640
O4 0.173 0.708 0.644
O5 0.827 0.061 0.854
O6 0.173 0.708 0.856
O7 0.173 0.234 0.146
O8 0.708 0.173 0.144
O9 0.586 0.117 0.860
O10 0.173 0.234 0.354
O11 0.061 0.827 0.354
O12 0.117 0.586 0.140
O13 0.414 0.532 0.360
O14 0.468 0.883 0.360
O15 0.333 0.667 0.500
O16 0.939 0.766 0.854
O17 0.465 0.292 0.144
O18 0.465 0.292 0.356
O19 0.667 0.333 0.000
O20 0.333 0.667 0.000
O21 0.939 0.766 0.646
O22 0.061 0.827 0.146
O23 0.117 0.586 0.360
O24 0.667 0.333 0.500
O25 0.883 0.468 0.640
O26 0.468 0.883 0.140
O27 0.532 0.414 0.640
O28 0.708 0.173 0.356
O29 0.766 0.939 0.354
O30 0.535 0.827 0.856
O31 0.827 0.535 0.356
O32 0.292 0.465 0.856
O33 0.535 0.827 0.644
O34 0.766 0.939 0.146
O35 0.292 0.465 0.644
O36 0.827 0.535 0.144
O37 0.414 0.532 0.140
O38 0.234 0.173 0.646
O39 0.827 0.061 0.646
O40 0.532 0.414 0.860
K1 0.705 0.705 0.000
K2 0.295 0.000 0.500
K3 0.295 0.000 0.000
K4 0.705 0.705 0.500
K5 0.000 0.295 0.500
K6 0.000 0.295 0.000
Al1 0.667 0.333 0.103
Al2 0.667 0.333 0.397
Al3 0.667 0.333 0.896
Al4 0.333 0.667 0.104
Al5 0.333 0.667 0.603
Al6 0.333 0.667 0.396
Al7 0.333 0.667 0.897
Al8 0.667 0.333 0.604
B1 0.655 0.005 0.858
B2 0.995 0.650 0.858
B3 0.650 0.995 0.142
B4 0.650 0.995 0.358
B5 0.350 0.345 0.858
B6 0.350 0.345 0.642
B7 0.995 0.650 0.642
B8 0.005 0.655 0.142
B9 0.655 0.005 0.642
B10 0.345 0.350 0.358
B11 0.345 0.350 0.142
B12 0.005 0.655 0.358
Li1 0.000 0.000 0.387
Li2 0.000 0.000 0.113
Li3 0.000 0.000 0.887
Li4 0.000 0.000 0.613
Ba1 0.304 0.988 0.750
Ba2 0.316 0.012 0.250
Ba3 0.696 0.684 0.250
Ba4 0.684 0.696 0.750
Ba5 0.012 0.316 0.750
Ba6 0.988 0.304 0.250
F1 0.000 0.000 0.000
F2 0.000 0.000 0.500
```

Computed properties:
Its space group is P-62c. As for the uncorrected energy: -7.037 eV/atom. The calculation puts the energy of formation at -119.79 eV per formula unit.


# 2
## Na5LiN2 (PBE-GGA)

Data for a geometry-optimized Na5LiN2 structure.

```
data_Na5LiN2
_cell_length_a 5.010
_cell_length_b 5.010
_cell_length_c 6.681
_cell_angle_alpha 87.52
_cell_angle_beta 87.52
_cell_angle_gamma 111.93
_space_group_name_H-M_alt 'P 1'
_space_group_IT_number 1
loop_
_space_group_symop_operation_xyz
'x,y,z'
loop_
_atom_site_label
_atom_site_fract_x
_atom_site_fract_y
_atom_site_fract_z
N1 0.072 0.381 0.770
N2 0.619 0.928 0.230
Na1 0.573 0.397 0.765
Na2 0.913 0.087 0.500
Na3 0.603 0.427 0.235
Na4 0.265 0.735 0.500
Na5 0.248 0.752 0.000
Li1 0.887 0.113 0.000
```

Computed properties:
For the energy above the most stable polymorph in this dataset, the calculation gives 0 meV/atom. Its space group is C2. As for the uncorrected energy: -2.965 eV/atom. The calculation puts the energy of formation at 0.75 eV per formula unit.